A plane-wave DFT calculation with PBE was carried out for Na10Ca4La4Si3S9O48 after structural relaxation.

Cell: 9.5519 16.4691 24.2796 Å, 90.55 90.15 90.24°
Last column: nearest neighbours and their distance in Å.
Element x y z (fractional)
Na 0.0000 0.0000 0.0000  6 O 2.57-2.87
Na 0.0001 0.3306 0.6639  4 O 2.46-2.71
Na 0.0120 0.0000 0.6463  3 O 2.40-2.63
Na 0.1208 0.5244 0.9167  1 O 2.28
Na 0.1303 0.8548 0.5777  2 O 2.46-2.55
Na 0.1406 0.2013 0.2448  3 O 2.46-2.59
Na 0.1701 0.5231 0.4097  3 O 2.50-2.63
Na 0.1714 0.8461 0.0875  2 O 2.31-2.47
Na 0.1907 0.1907 0.7457  3 O 2.48-2.60
Na 0.3057 0.9979 0.1511  5 O 2.45-2.73
Na 0.3104 0.6644 0.4776  3 O 2.43-2.61
Na 0.3368 0.3737 0.5029  4 O 2.34-2.56
Na 0.3437 0.7046 0.1746  3 O 2.33-2.51
Na 0.4782 0.8740 0.0057  4 O 2.37-2.65
Na 0.4801 0.5390 0.3364  3 O 2.30-2.50
Na 0.4991 0.8308 0.6644  4 O 2.46-2.73
Na 0.5018 0.5032 0.9991  5 O 2.57-2.84
Na 0.5087 0.1624 0.9889  1 O 2.41
Na 0.5110 0.5003 0.6474  3 O 2.40-2.61
Na 0.5106 0.8298 0.3150  2 O 2.39-2.62
Na 0.6302 0.3529 0.5812  2 O 2.39-2.59
Na 0.6334 0.0095 0.9128  3 O 2.45-2.73
Na 0.6526 0.6919 0.2492  3 O 2.41-2.65
Na 0.6831 0.0171 0.4156  2 O 2.35-2.62
Na 0.6858 0.3469 0.0884  1 O 2.23
Na 0.6911 0.6911 0.7469  3 O 2.43-2.61
Na 0.8122 0.4991 0.1503  2 O 2.36-2.63
Na 0.8199 0.1620 0.4861  3 O 2.38-2.66
Na 0.8417 0.8735 0.5030  4 O 2.34-2.59
Na 0.9783 0.3706 0.0075  3 O 2.30-2.53
Ca 0.1494 0.5082 0.0611  5 O 2.21-2.47
Ca 0.1486 0.8394 0.7262  6 O 2.22-2.48
Ca 0.1582 0.1685 0.3933  5 O 2.16-2.40
Ca 0.1624 0.8403 0.2308  5 O 2.20-2.40
Ca 0.1647 0.5099 0.5610  6 O 2.22-2.46
Ca 0.1697 0.1724 0.8920  5 O 2.16-2.40
Ca 0.6483 0.3392 0.7266  6 O 2.23-2.48
Ca 0.6564 0.0064 0.0649  5 O 2.19-2.43
Ca 0.6616 0.6720 0.3947  5 O 2.21-2.38
Ca 0.6648 0.0092 0.5616  5 O 2.21-2.41
Ca 0.6708 0.3370 0.2258  5 O 2.22-2.38
Ca 0.6739 0.6711 0.8928  4 O 2.14-2.37
La 0.1587 0.1822 0.0940  6 O 2.24-2.47
La 0.1601 0.5046 0.2594  3 O 2.18-2.41
La 0.1645 0.8474 0.4212  6 O 2.27-2.50
La 0.1660 0.8435 0.9224  6 O 2.28-2.47
La 0.1670 0.5061 0.7589  4 O 2.17-2.43
La 0.1751 0.1699 0.5883  5 O 2.26-2.48
La 0.6649 0.3521 0.4261  6 O 2.26-2.50
La 0.6673 0.0062 0.2548  5 O 2.21-2.44
La 0.6680 0.0060 0.7593  2 O 2.16-2.41
La 0.6690 0.3502 0.9200  6 O 2.25-2.51
La 0.6727 0.6805 0.0906  6 O 2.29-2.50
La 0.6744 0.6713 0.5895  6 O 2.26-2.52
Si 0.0010 0.3577 0.1554  4 O 1.65-1.66
Si 0.0027 0.0240 0.4954  4 O 1.63-1.67
Si 0.3147 0.3577 0.6542  4 O 1.64-1.67
Si 0.3163 0.0272 0.9949  4 O 1.62-1.69
Si 0.3228 0.6903 0.3260  4 O 1.64-1.67
Si 0.5002 0.5240 0.4928  4 O 1.63-1.68
Si 0.5003 0.8552 0.1575  4 O 1.64-1.67
Si 0.8151 0.8580 0.6546  4 O 1.64-1.67
Si 0.8158 0.5241 0.9938  4 O 1.61-1.72
S 0.0054 0.6916 0.8243  4 O 1.47-1.49
S 0.0162 0.9969 0.8251  4 O 1.48-1.50
S 0.0178 0.3248 0.4930  4 O 1.48-1.50
S 0.0194 0.6608 0.1589  4 O 1.47-1.50
S 0.3127 0.3287 0.9895  4 O 1.47-1.51
S 0.3138 0.6633 0.6574  4 O 1.48-1.51
S 0.3160 0.9980 0.3216  4 O 1.47-1.50
S 0.3607 0.0041 0.6598  4 O 1.47-1.50
S 0.3654 0.3389 0.3257  4 O 1.47-1.51
S 0.3668 0.6738 0.9911  4 O 1.47-1.50
S 0.4677 0.5088 0.1564  4 O 1.48-1.51
S 0.4687 0.8387 0.8241  4 O 1.48-1.50
S 0.4717 0.1755 0.4886  4 O 1.46-1.51
S 0.5064 0.1916 0.8274  4 O 1.47-1.50
S 0.5153 0.1613 0.1562  4 O 1.47-1.50
S 0.5152 0.4990 0.8239  4 O 1.47-1.50
S 0.5162 0.8268 0.4923  4 O 1.48-1.50
S 0.8062 0.4966 0.3220  4 O 1.48-1.49
S 0.8103 0.8334 0.9895  4 O 1.47-1.50
S 0.8140 0.1636 0.6574  4 O 1.48-1.51
S 0.8187 0.1926 0.3276  4 O 1.47-1.50
S 0.8530 0.8415 0.3263  4 O 1.46-1.51
S 0.8601 0.1737 0.9887  4 O 1.47-1.51
S 0.8601 0.5036 0.6595  4 O 1.47-1.50
S 0.9705 0.3380 0.8232  4 O 1.48-1.50
S 0.9715 0.6761 0.4896  4 O 1.46-1.50
S 0.9724 0.0060 0.1552  4 O 1.48-1.50
O 0.0364 0.4041 0.0972  1 Si 1.65
O 0.0433 0.2789 0.5451  1 S 1.50
O 0.0471 0.0878 0.4478  1 Si 1.63
O 0.0493 0.7385 0.7760  1 S 1.47
O 0.0489 0.9506 0.8765  1 S 1.50
O 0.0509 0.6126 0.2086  1 S 1.48
O 0.0552 0.0605 0.5566  1 Si 1.67
O 0.0566 0.7321 0.8759  1 S 1.49
O 0.0577 0.4136 0.8237  1 S 1.49
O 0.0587 0.9312 0.1591  1 S 1.49
O 0.0603 0.2652 0.8249  1 S 1.48
O 0.0634 0.7504 0.4878  1 S 1.50
O 0.0637 0.6039 0.4935  1 S 1.49
O 0.0644 0.9296 0.4902  1 Si 1.67
O 0.0659 0.4106 0.2076  1 Si 1.65
O 0.0667 0.9518 0.7763  1 S 1.48
O 0.0693 0.2652 0.1582  1 Si 1.66
O 0.0688 0.6089 0.8234  1 S 1.49
O 0.0696 0.0774 0.1573  1 S 1.50
O 0.0761 0.4077 0.4971  1 S 1.48
O 0.0781 0.6211 0.1095  1 S 1.47
O 0.0807 0.7434 0.1636  1 S 1.48
O 0.0817 0.0782 0.8275  1 S 1.48
O 0.0826 0.2821 0.4459  1 S 1.48
O 0.2323 0.2680 0.6557  1 Si 1.67
O 0.2396 0.4084 0.7059  1 Si 1.67
O 0.2457 0.2896 0.9415  1 S 1.47
O 0.2458 0.9336 0.9873  1 Si 1.69
O 0.2472 0.0623 0.0530  1 Si 1.66
O 0.2560 0.6270 0.6064  1 S 1.48
O 0.2565 0.0719 0.6585  1 S 1.50
O 0.2576 0.0798 0.3277  1 S 1.47
O 0.2590 0.4127 0.9963  1 S 1.49
O 0.2603 0.9579 0.2712  1 S 1.48
O 0.2620 0.5956 0.3255  1 Si 1.66
O 0.2642 0.7482 0.6643  1 S 1.49
O 0.2665 0.7357 0.3835  1 Si 1.67
O 0.2696 0.2685 0.3277  1 S 1.48
O 0.2733 0.7464 0.9865  1 S 1.50
O 0.2771 0.6125 0.7055  1 S 1.48
O 0.2786 0.0890 0.9454  1 Si 1.62
O 0.2812 0.9256 0.6629  1 S 1.50
O 0.2828 0.4073 0.5973  1 Si 1.64
O 0.2831 0.7444 0.2717  1 Si 1.64
O 0.2842 0.4169 0.3240  1 S 1.50
O 0.2842 0.5973 0.9950  1 S 1.49
O 0.2839 0.9468 0.3704  1 S 1.49
O 0.2880 0.2795 0.0397  1 S 1.49
O 0.3270 0.5190 0.4923  1 Si 1.66
O 0.3273 0.8505 0.1604  1 Si 1.66
O 0.3515 0.1854 0.8259  1 S 1.48
O 0.3584 0.1611 0.1560  1 S 1.50
O 0.3598 0.5073 0.8217  1 S 1.49
O 0.3606 0.8308 0.4884  1 S 1.49
O 0.3774 0.5183 0.2059  1 S 1.49
O 0.3782 0.8363 0.7744  1 S 1.48
O 0.3787 0.1700 0.4407  1 S 1.46
O 0.3800 0.8436 0.8750  1 S 1.50
O 0.3821 0.5039 0.1056  1 S 1.48
O 0.3886 0.1892 0.5399  1 S 1.49
O 0.4482 0.0021 0.6099  1 S 1.47
O 0.4481 0.0155 0.7097  1 S 1.48
O 0.4493 0.3457 0.3782  1 S 1.51
O 0.4488 0.6869 0.0432  1 S 1.50
O 0.4606 0.3340 0.2783  1 S 1.47
O 0.4621 0.6684 0.9438  1 S 1.47
O 0.4694 0.3332 0.9833  1 S 1.51
O 0.4717 0.6663 0.6554  1 S 1.51
O 0.4733 0.0011 0.3197  1 S 1.50
O 0.4862 0.3569 0.6618  1 Si 1.65
O 0.4892 0.0171 0.9962  1 Si 1.66
O 0.4967 0.6860 0.3269  1 Si 1.66
O 0.5400 0.9065 0.1021  1 Si 1.64
O 0.5445 0.4528 0.8758  1 S 1.50
O 0.5456 0.5763 0.4389  1 Si 1.63
O 0.5475 0.7787 0.5429  1 S 1.50
O 0.5535 0.2285 0.8812  1 S 1.50
O 0.5542 0.2418 0.7812  1 S 1.47
O 0.5564 0.1094 0.2035  1 S 1.49
O 0.5565 0.9146 0.8252  1 S 1.50
O 0.5586 0.5651 0.5513  1 Si 1.66
O 0.5588 0.7661 0.8261  1 S 1.48
O 0.5600 0.4366 0.1609  1 S 1.49
O 0.5595 0.5835 0.1555  1 S 1.51
O 0.5611 0.4283 0.4922  1 Si 1.68
O 0.5614 0.9020 0.2138  1 Si 1.67
O 0.5622 0.1029 0.4933  1 S 1.48
O 0.5630 0.7609 0.1576  1 Si 1.67
O 0.5674 0.2484 0.4854  1 S 1.51
O 0.5684 0.1249 0.1041  1 S 1.49
O 0.5676 0.4524 0.7759  1 S 1.48
O 0.5704 0.1091 0.8246  1 S 1.49
O 0.5701 0.2444 0.1625  1 S 1.47
O 0.5772 0.7856 0.4435  1 S 1.48
O 0.5787 0.9090 0.4967  1 S 1.48
O 0.5815 0.5797 0.8262  1 S 1.47
O 0.7320 0.7686 0.6564  1 Si 1.67
O 0.7333 0.5758 0.3265  1 S 1.48
O 0.7383 0.4300 0.9907  1 Si 1.72
O 0.7395 0.9085 0.7064  1 Si 1.67
O 0.7447 0.9157 0.9939  1 S 1.50
O 0.7508 0.7903 0.9417  1 S 1.47
O 0.7534 0.4536 0.2724  1 S 1.48
O 0.7531 0.5613 0.0531  1 Si 1.67
O 0.7542 0.1094 0.3244  1 S 1.50
O 0.7551 0.5711 0.6580  1 S 1.50
O 0.7561 0.9139 0.3247  1 S 1.51
O 0.7567 0.1276 0.6061  1 S 1.48
O 0.7594 0.2434 0.9840  1 S 1.51
O 0.7599 0.5776 0.9431  1 Si 1.61
O 0.7616 0.7679 0.3267  1 S 1.49
O 0.7630 0.2484 0.6643  1 S 1.49
O 0.7700 0.2300 0.3810  1 S 1.50
O 0.7731 0.2420 0.2808  1 S 1.47
O 0.7732 0.4476 0.3719  1 S 1.49
O 0.7762 0.1125 0.7052  1 S 1.49
O 0.7771 0.0971 0.9945  1 S 1.50
O 0.7806 0.4249 0.6626  1 S 1.50
O 0.7824 0.9073 0.5978  1 Si 1.64
O 0.7858 0.7874 0.0408  1 S 1.48
O 0.8287 0.0181 0.4936  1 Si 1.67
O 0.8292 0.3574 0.1608  1 Si 1.65
O 0.8504 0.6854 0.8250  1 S 1.48
O 0.8602 0.0051 0.8238  1 S 1.50
O 0.8615 0.3270 0.4870  1 S 1.50
O 0.8630 0.6650 0.1555  1 S 1.50
O 0.8773 0.0134 0.2031  1 S 1.48
O 0.8778 0.3352 0.7742  1 S 1.48
O 0.8801 0.6704 0.4412  1 S 1.46
O 0.8838 0.3428 0.8748  1 S 1.50
O 0.8864 0.6866 0.5406  1 S 1.49
O 0.8906 0.0046 0.1031  1 S 1.49
O 0.9331 0.8489 0.3788  1 S 1.49
O 0.9448 0.1898 0.0393  1 S 1.49
O 0.9468 0.5152 0.7095  1 S 1.48
O 0.9465 0.8402 0.2787  1 S 1.46
O 0.9480 0.5016 0.6098  1 S 1.47
O 0.9519 0.1672 0.9405  1 S 1.47
O 0.9598 0.5080 0.3217  1 S 1.48
O 0.9653 0.8467 0.9850  1 S 1.50
O 0.9716 0.1672 0.6557  1 S 1.51
O 0.9739 0.1863 0.3274  1 S 1.49
O 0.9851 0.5082 0.9928  1 Si 1.64
O 0.9864 0.8573 0.6618  1 Si 1.64

Properties
As for the magnetization: 0.00 Bohr magnetons per cell. Its total energy is -6.464 eV per atom. As for the volume: 3819.21 Å³/cell. Its space group is P1, No. 1. For the formation energy, the calculation gives -2.630 eV/atom.